[1]
A plane-wave DFT calculation with PBE was carried out for a relaxed structure of Ge3N4.

Computed properties:
theoretical density: 6.17 g/cm3
symmetry: Pnma (62)

Cell lengths 4.8966, 5.9540, 10.1082 Å; angles 90.00, 90.00, 90.00 degrees
Closest atoms and distances in Å follow each position.
Atoms (fractional coordinates):
1 N 0.7411 0.5043 0.1624  3 Ge 1.86-2.07
2 N 0.7589 0.9957 0.6624  3 Ge 1.86-2.07
3 N 0.7429 0.7500 0.9314  4 Ge 1.91-2.07
4 Ge 0.4890 0.7500 0.7791  4 N 1.98-2.04
5 N 0.6789 0.2500 0.4054  4 Ge 1.82-2.04
6 N 0.7571 0.7500 0.4314  4 Ge 1.91-2.07
7 N 0.3211 0.7500 0.5946  4 Ge 1.82-2.04
8 N 0.2429 0.2500 0.5686  4 Ge 1.91-2.07
9 N 0.7589 0.5043 0.6624  3 Ge 1.86-2.07
10 N 0.2571 0.2500 0.0686  4 Ge 1.91-2.07
11 Ge 0.5512 0.7500 0.0955  4 N 1.82-1.91
12 N 0.2589 0.0043 0.8376  3 Ge 1.86-2.07
13 N 0.2589 0.4957 0.8376  3 Ge 1.86-2.07
14 N 0.8211 0.2500 0.9054  4 Ge 1.82-2.04
15 Ge 0.5000 0.0000 0.5000  6 N 1.97-2.07
16 N 0.2411 0.4957 0.3376  3 Ge 1.86-2.07
17 Ge 0.0512 0.2500 0.4045  4 N 1.82-1.91
18 Ge 0.5110 0.2500 0.2209  4 N 1.98-2.04
19 N 0.2411 0.0043 0.3376  3 Ge 1.86-2.07
20 Ge 0.0110 0.7500 0.2791  4 N 1.98-2.04
21 Ge 0.9488 0.7500 0.5955  4 N 1.82-1.91
22 Ge 0.0000 0.5000 0.0000  6 N 1.97-2.07
23 N 0.1789 0.7500 0.0946  4 Ge 1.82-2.04
24 Ge 0.5000 0.5000 0.5000  6 N 1.97-2.07
25 N 0.7411 0.9957 0.1624  3 Ge 1.86-2.07
26 Ge 0.9890 0.2500 0.7209  4 N 1.98-2.04
27 Ge 0.0000 0.0000 0.0000  6 N 1.97-2.07
28 Ge 0.4488 0.2500 0.9045  4 N 1.82-1.91



[2]
A plane-wave DFT calculation with PBE was carried out for a relaxed structure of YCo4B.

Computed properties:
theoretical density: 7.36 g/cm3
symmetry: P-6m2 (187)

Cell lengths 4.9916, 4.9931, 3.5046 Å; angles 90.00, 90.00, 119.99 degrees
Closest atoms and distances in Å follow each position.
Atoms (fractional coordinates):
1 B 0.3333 0.6668 0.0000  6 Co 2.22
2 Y 0.0000 0.0000 0.0000  15 Co 2.88-3.05, 3 B 2.88
3 Co 0.0178 0.5090 0.5000  2 B 2.22, 4 Co 2.32-2.36
4 Co 0.4912 0.5090 0.5000  2 B 2.22, 4 Co 2.32-2.36
5 Co 0.6665 0.3330 0.0000  6 Co 2.32
6 Co 0.4911 0.9821 0.5000  2 B 2.22, 4 Co 2.32-2.36



[3]
A plane-wave DFT calculation with PBE was carried out for a relaxed structure of BaLaZnRuO6.

Computed properties:
maximum piezoelectric response: 0.59 C/m2
theoretical density: 6.79 g/cm3
symmetry: I-4 (82)

Cell lengths 5.7403, 5.7403, 5.7403 Å; angles 120.95, 120.95, 88.36 degrees
Closest atoms and distances in Å follow each position.
Atoms (fractional coordinates):
1 O 0.4926 0.9926 0.5000  1 Ru 2.00, 1 Zn 2.12
2 O 0.9763 0.9608 0.3971  1 Ru 1.99, 1 Zn 2.11
3 Zn 0.7500 0.2500 0.5000  6 O 2.11-2.12
4 O 0.5637 0.5792 0.6029  1 Ru 1.99, 1 Zn 2.11
5 O 0.0074 0.5074 0.5000  1 Ru 2.00, 1 Zn 2.12
6 O 0.0392 0.4363 0.0156  1 Ru 1.99, 1 Zn 2.11
7 O 0.4208 0.0237 0.9844  1 Ru 1.99, 1 Zn 2.11
8 Ru 0.2500 0.7500 0.5000  6 O 1.99-2.00
9 Ba 0.5000 0.5000 0.0000  8 O 2.73-2.83
10 La 0.0000 0.0000 0.0000  4 O 2.47



[4]
A plane-wave DFT calculation with PBE was carried out for a relaxed structure of Li3CuP2O8.

Computed properties:
theoretical density: 2.66 g/cm3
symmetry: P1 (1)

Cell lengths 5.0710, 6.8709, 9.8374 Å; angles 89.59, 89.63, 89.77 degrees
Closest atoms and distances in Å follow each position.
Atoms (fractional coordinates):
1 Li 0.3151 0.2519 0.4998  4 O 1.97-2.02
2 O 0.8818 0.4947 0.7781  1 P 1.53
3 O 0.6968 0.1908 0.0579  1 P 1.52
4 O 0.6856 0.8104 0.5410  1 P 1.55
5 O 0.1159 0.0032 0.5248  1 P 1.53
6 O 0.6774 0.1827 0.5546  1 P 1.53
7 Cu 0.3023 0.7555 0.9944  4 O 1.87-2.07
8 P 0.1932 0.5036 0.2445  4 O 1.52-1.57
9 Li 0.6853 0.2637 0.2488  4 O 1.95-2.04
10 O 0.2416 0.5040 0.5957  1 P 1.54
11 Li 0.6905 0.7384 0.7391  4 O 1.97-2.08
12 O 0.6662 0.8207 0.0754  1 P 1.61
13 P 0.1774 0.4852 0.7480  4 O 1.53-1.61
14 Li 0.3230 0.2483 0.0041  4 O 1.93-2.11
15 P 0.8039 0.0016 0.9993  4 O 1.52-1.61
16 O 0.3271 0.6869 0.3056  1 P 1.56
17 Li 0.6771 0.2454 0.7514  4 O 1.98-2.09
18 O 0.7859 0.0114 0.3356  1 P 1.61
19 O 0.3179 0.6711 0.8141  1 P 1.61
20 O 0.3133 0.3068 0.8118  1 P 1.54
21 O 0.2349 0.5097 0.0860  1 P 1.57
22 P 0.8188 0.0039 0.4984  4 O 1.53-1.61
23 O 0.3107 0.3145 0.2988  1 P 1.52
24 Li 0.3088 0.7545 0.5066  4 O 1.96-2.04
25 O 0.7479 0.9785 0.8481  1 P 1.52
26 Cu 0.7005 0.7618 0.2758  4 O 1.87-2.02
27 O 0.1091 0.9876 0.0303  1 P 1.58
28 O 0.8911 0.5141 0.2780  1 P 1.57



[5]
A plane-wave DFT calculation with PBE was carried out for a relaxed structure of NaNb6Se8.

Computed properties:
theoretical density: 6.46 g/cm3
symmetry: P-3 (147)

Cell lengths 10.0999, 10.0999, 3.5282 Å; angles 90.00, 90.00, 120.00 degrees
Closest atoms and distances in Å follow each position.
Atoms (fractional coordinates):
1 Nb 0.3815 0.4876 0.2502  6 Se 2.61-2.82, 2 Nb 2.88
2 Nb 0.8939 0.3815 0.7498  6 Se 2.61-2.82, 2 Nb 2.88
3 Se 0.9409 0.6623 0.7507  4 Nb 2.61-2.82
4 Nb 0.6185 0.5124 0.7498  6 Se 2.61-2.82, 2 Nb 2.88
5 Se 0.6623 0.7214 0.2493  4 Nb 2.61-2.82
6 Se 0.0591 0.3377 0.2493  4 Nb 2.61-2.82
7 Se 0.2786 0.9409 0.2493  4 Nb 2.61-2.82
8 Se 0.3333 0.6667 0.7500  6 Nb 2.74
9 Se 0.3377 0.2786 0.7507  4 Nb 2.61-2.82
10 Nb 0.1061 0.6185 0.2502  6 Se 2.61-2.82, 2 Nb 2.88
11 Se 0.7214 0.0591 0.7507  4 Nb 2.61-2.82
12 Se 0.6667 0.3333 0.2500  6 Nb 2.74
13 Na 0.0000 0.0000 0.5000  6 Se 3.28, 2 Na 3.53
14 Nb 0.5124 0.8939 0.2502  6 Se 2.61-2.82, 2 Nb 2.88
15 Nb 0.4876 0.1061 0.7498  6 Se 2.61-2.82, 2 Nb 2.88



[6]
A plane-wave DFT calculation with PBE was carried out for a relaxed structure of BaCa2C2O6F2.

Computed properties:
theoretical density: 3.47 g/cm3
symmetry: Cmcm (63)

Cell lengths 6.9860, 6.9860, 9.5598 Å; angles 90.00, 90.00, 129.69 degrees
Closest atoms and distances in Å follow each position.
Atoms (fractional coordinates):
1 F 0.2649 0.2649 0.5061  2 Ca 2.32
2 O 0.3629 0.9575 0.8678  1 C 1.30
3 O 0.0425 0.6371 0.1322  1 C 1.30
4 O 0.5097 0.2223 0.2500  1 C 1.31
5 F 0.7351 0.7351 0.0061  2 Ca 2.32
6 O 0.9575 0.3629 0.6322  1 C 1.30
7 F 0.2649 0.2649 0.9939  2 Ca 2.32
8 O 0.9575 0.3629 0.8678  1 C 1.30
9 C 0.9020 0.4087 0.7500  3 O 1.30-1.31
10 Ca 0.6464 0.3536 0.0000  2 F 2.32, 6 O 2.48-2.52
11 O 0.6371 0.0425 0.1322  1 C 1.30
12 Ba 0.0012 0.0012 0.7500  4 F 2.81-2.91, 6 O 2.84-2.95
13 O 0.2223 0.5097 0.2500  1 C 1.31
14 Ca 0.3536 0.6464 0.5000  2 F 2.32, 6 O 2.48-2.52
15 C 0.4087 0.9020 0.7500  3 O 1.30-1.31
16 O 0.0425 0.6371 0.3678  1 C 1.30
17 O 0.7777 0.4903 0.7500  1 C 1.31
18 O 0.6371 0.0425 0.3678  1 C 1.30
19 C 0.0980 0.5913 0.2500  3 O 1.30-1.31
20 F 0.7351 0.7351 0.4939  2 Ca 2.32
21 C 0.5913 0.0980 0.2500  3 O 1.30-1.31
22 Ba 0.9988 0.9988 0.2500  4 F 2.81-2.91, 6 O 2.84-2.95
23 O 0.4903 0.7777 0.7500  1 C 1.31
24 Ca 0.3536 0.6464 0.0000  2 F 2.32, 6 O 2.48-2.52
25 O 0.3629 0.9575 0.6322  1 C 1.30
26 Ca 0.6464 0.3536 0.5000  2 F 2.32, 6 O 2.48-2.52



Number 1: E_tot -6.5785 eV per atom. Number 2: E_tot -7.0777 eV per atom. Number 3: E_tot -6.7638 eV per atom. Number 4: E_tot -6.2551 eV per atom. Number 5: E_tot -6.8535 eV per atom. Number 6: E_tot -7.1002 eV per atom.